[1]
DFT (r2SCAN) results for a relaxed structure of Eu2GeO5.

abc: 9.3412 7.1645 6.8871
angles: 90.00 106.20 90.00
Fractional coordinates of all 32 atoms:
1 Eu 0.0150 0.1313 0.2351
2 Eu 0.0150 0.3687 0.7351
3 Eu 0.3703 0.1326 0.0480
4 Eu 0.3703 0.3674 0.5480
5 Eu 0.6297 0.6326 0.4520
6 Eu 0.6297 0.8674 0.9520
7 Eu 0.9850 0.6313 0.2649
8 Eu 0.9850 0.8687 0.7649
9 Ge 0.3050 0.5854 0.0198
10 Ge 0.3050 0.9146 0.5198
11 Ge 0.6950 0.0854 0.4802
12 Ge 0.6950 0.4146 0.9802
13 O 0.1062 0.1162 0.9317
14 O 0.1062 0.3839 0.4317
15 O 0.1138 0.6276 0.9975
16 O 0.1138 0.8724 0.4975
17 O 0.2830 0.0914 0.3296
18 O 0.2830 0.4086 0.8296
19 O 0.3813 0.7057 0.4722
20 O 0.3813 0.7943 0.9722
21 O 0.4061 0.0569 0.7200
22 O 0.4061 0.4431 0.2200
23 O 0.5939 0.5569 0.7800
24 O 0.5939 0.9431 0.2800
25 O 0.6187 0.2057 0.0278
26 O 0.6187 0.2943 0.5278
27 O 0.7170 0.5914 0.1704
28 O 0.7170 0.9086 0.6704
29 O 0.8862 0.1276 0.5025
30 O 0.8862 0.3724 0.0025
31 O 0.8938 0.6162 0.5683
32 O 0.8938 0.8838 0.0683

Results
- uncorrected energy (eV for the cell shown) = -568.76

=====

[2]
DFT (r2SCAN) results for a relaxed structure of Rb2As2Pt.

abc: 8.0329 8.0329 6.3357
angles: 90.00 90.00 130.55
Fractional coordinates of all 10 atoms:
1 Rb 0.0844 0.9156 0.7500
2 Rb 0.2950 0.7050 0.2500
3 Rb 0.7050 0.2950 0.7500
4 Rb 0.9156 0.0844 0.2500
5 As 0.2151 0.4243 0.7500
6 As 0.4243 0.2151 0.2500
7 As 0.5757 0.7849 0.7500
8 As 0.7849 0.5757 0.2500
9 Pt 0.5000 0.5000 0.0000
10 Pt 0.5000 0.5000 0.5000

Results
- uncorrected energy (eV for the cell shown) = -223.68

=====

[3]
DFT (r2SCAN) results for a relaxed structure of HoCu4Au.

abc: 4.9727 4.9727 4.9727
angles: 60.00 60.00 60.00
Fractional coordinates of all 6 atoms:
1 Ho 0.0000 0.0000 0.0000
2 Cu 0.3758 0.3758 0.3758
3 Cu 0.3758 0.3758 0.8726
4 Cu 0.3758 0.8726 0.3758
5 Cu 0.8726 0.3758 0.3758
6 Au 0.7500 0.7500 0.7500

Results
- uncorrected energy (eV for the cell shown) = -129.02